(1)
{"formula": "Cs2KMnF6", "functional": "PBE with a Hubbard U", "state": "optimized geometry", "lattice_angstrom": [[-3.211, 3.211, 4.753], [3.211, -3.211, 4.753], [3.211, 3.211, -4.753]], "species": ["Cs", "Cs", "K", "Mn", "F", "F", "F", "F", "F", "F"], "fractional_positions": [[0.250, 0.750, 0.500], [0.750, 0.250, 0.500], [0.000, 0.000, 0.000], [0.500, 0.500, 0.000], [0.274, 0.274, 0.000], [0.290, 0.290, 0.579], [0.290, 0.710, 0.000], [0.710, 0.290, 0.000], [0.710, 0.710, 0.421], [0.726, 0.726, 0.000]], "total_magnetization_mub_per_fu": 4.00, "sg": "I4/mmm"}

(2)
{"formula": "Cs2KMoF6", "functional": "PBE with a Hubbard U", "state": "optimized geometry", "lattice_angstrom": [[0.000, 4.707, 4.707], [4.707, 0.000, 4.707], [4.707, 4.707, 0.000]], "species": ["Cs", "Cs", "K", "Mo", "F", "F", "F", "F", "F", "F"], "fractional_positions": [[0.250, 0.250, 0.250], [0.750, 0.750, 0.750], [0.000, 0.000, 0.000], [0.500, 0.500, 0.500], [0.276, 0.276, 0.724], [0.276, 0.724, 0.276], [0.276, 0.724, 0.724], [0.724, 0.276, 0.276], [0.724, 0.276, 0.724], [0.724, 0.724, 0.276]], "total_magnetization_mub_per_fu": 3.00, "sg": "Fm-3m"}

(3)
{"formula": "CsK2VF6", "functional": "PBE with a Hubbard U", "state": "optimized geometry", "lattice_angstrom": [[0.000, 4.725, 4.725], [4.725, 0.000, 4.725], [4.725, 4.725, 0.000]], "species": ["Cs", "K", "K", "V", "F", "F", "F", "F", "F", "F"], "fractional_positions": [[0.000, 0.000, 0.000], [0.250, 0.250, 0.250], [0.750, 0.750, 0.750], [0.500, 0.500, 0.500], [0.293, 0.293, 0.707], [0.293, 0.707, 0.293], [0.293, 0.707, 0.707], [0.707, 0.293, 0.293], [0.707, 0.293, 0.707], [0.707, 0.707, 0.293]], "total_magnetization_mub_per_fu": 2.00, "sg": "Fm-3m"}

(4)
{"formula": "Cs2LiMoF6", "functional": "PBE with a Hubbard U", "state": "optimized geometry", "lattice_angstrom": [[0.000, 4.399, 4.399], [4.399, 0.000, 4.399], [4.399, 4.399, 0.000]], "species": ["Cs", "Cs", "Li", "Mo", "F", "F", "F", "F", "F", "F"], "fractional_positions": [[0.250, 0.250, 0.250], [0.750, 0.750, 0.750], [0.000, 0.000, 0.000], [0.500, 0.500, 0.500], [0.261, 0.261, 0.739], [0.261, 0.739, 0.261], [0.261, 0.739, 0.739], [0.739, 0.261, 0.261], [0.739, 0.261, 0.739], [0.739, 0.739, 0.261]], "total_magnetization_mub_per_fu": 3.00, "sg": "Fm-3m"}

(5)
{"formula": "Cs2LiV3F12", "functional": "PBE with a Hubbard U", "state": "optimized geometry", "lattice_angstrom": [[3.776, 2.180, 6.035], [-3.776, 2.180, 6.035], [0.000, -4.360, 6.035]], "species": ["Cs", "Cs", "Li", "V", "V", "V", "F", "F", "F", "F", "F", "F", "F", "F", "F", "F", "F", "F"], "fractional_positions": [[0.137, 0.137, 0.137], [0.863, 0.863, 0.863], [0.500, 0.500, 0.500], [0.000, 0.500, 0.500], [0.500, 0.000, 0.500], [0.500, 0.500, 0.000], [0.171, 0.569, 0.569], [0.183, 0.183, 0.569], [0.183, 0.569, 0.183], [0.431, 0.431, 0.829], [0.431, 0.817, 0.817], [0.431, 0.829, 0.431], [0.569, 0.171, 0.569], [0.569, 0.183, 0.183], [0.569, 0.569, 0.171], [0.817, 0.431, 0.817], [0.817, 0.817, 0.431], [0.829, 0.431, 0.431]], "total_magnetization_mub_per_fu": 6.00, "sg": "R-3m"}

(6)
{"formula": "CsMnF4", "functional": "PBE with a Hubbard U", "state": "optimized geometry", "lattice_angstrom": [[8.123, 0.000, 0.000], [0.000, 8.123, 0.000], [0.000, 0.000, 6.486]], "species": ["Cs", "Cs", "Cs", "Cs", "Mn", "Mn", "Mn", "Mn", "F", "F", "F", "F", "F", "F", "F", "F", "F", "F", "F", "F", "F", "F", "F", "F"], "fractional_positions": [[0.250, 0.250, 0.052], [0.250, 0.750, 0.000], [0.750, 0.250, 0.000], [0.750, 0.750, 0.948], [0.000, 0.000, 0.500], [0.000, 0.500, 0.500], [0.500, 0.000, 0.500], [0.500, 0.500, 0.500], [0.002, 0.767, 0.548], [0.025, 0.032, 0.783], [0.032, 0.475, 0.783], [0.233, 0.502, 0.452], [0.267, 0.998, 0.452], [0.468, 0.025, 0.783], [0.475, 0.468, 0.783], [0.498, 0.733, 0.548], [0.502, 0.267, 0.452], [0.525, 0.532, 0.217], [0.532, 0.975, 0.217], [0.733, 0.002, 0.548], [0.767, 0.498, 0.548], [0.968, 0.525, 0.217], [0.975, 0.968, 0.217], [0.998, 0.233, 0.452]], "sg": "P4/n"}

(7)
{"formula": "Cs2MnF5", "functional": "PBE with a Hubbard U", "state": "optimized geometry", "lattice_angstrom": [[6.513, 0.000, 0.000], [0.000, 6.513, 0.000], [0.000, 0.000, 4.306]], "species": ["Cs", "Cs", "Mn", "F", "F", "F", "F", "F"], "fractional_positions": [[0.000, 0.500, 0.000], [0.500, 0.000, 0.000], [0.000, 0.000, 0.500], [0.000, 0.000, 0.000], [0.207, 0.207, 0.500], [0.207, 0.793, 0.500], [0.793, 0.207, 0.500], [0.793, 0.793, 0.500]], "sg": "P4/mmm"}

(8)
{"formula": "CsMnF3", "functional": "PBE with a Hubbard U", "state": "optimized geometry", "lattice_angstrom": [[6.331, 0.000, 0.000], [-3.165, 5.482, 0.000], [0.000, 0.000, 15.383]], "species": ["Cs", "Cs", "Cs", "Cs", "Cs", "Cs", "Mn", "Mn", "Mn", "Mn", "Mn", "Mn", "F", "F", "F", "F", "F", "F", "F", "F", "F", "F", "F", "F", "F", "F", "F", "F", "F", "F"], "fractional_positions": [[0.000, 0.000, 0.250], [0.000, 0.000, 0.750], [0.333, 0.667, 0.098], [0.333, 0.667, 0.402], [0.667, 0.333, 0.598], [0.667, 0.333, 0.902], [0.000, 0.000, 0.000], [0.000, 0.000, 0.500], [0.333, 0.667, 0.652], [0.333, 0.667, 0.848], [0.667, 0.333, 0.152], [0.667, 0.333, 0.348], [0.045, 0.522, 0.750], [0.165, 0.331, 0.579], [0.165, 0.331, 0.921], [0.165, 0.835, 0.579], [0.165, 0.835, 0.921], [0.331, 0.165, 0.079], [0.331, 0.165, 0.421], [0.478, 0.522, 0.750], [0.478, 0.955, 0.750], [0.522, 0.045, 0.250], [0.522, 0.478, 0.250], [0.669, 0.835, 0.579], [0.669, 0.835, 0.921], [0.835, 0.165, 0.079], [0.835, 0.165, 0.421], [0.835, 0.669, 0.079], [0.835, 0.669, 0.421], [0.955, 0.478, 0.250]], "sg": "P6_3/mmc"}

(9)
{"formula": "CsMnF4", "functional": "PBE with a Hubbard U", "state": "optimized geometry", "lattice_angstrom": [[8.082, 0.000, 0.000], [0.000, 8.082, 0.000], [0.000, 0.000, 6.447]], "species": ["Cs", "Cs", "Cs", "Cs", "Mn", "Mn", "Mn", "Mn", "F", "F", "F", "F", "F", "F", "F", "F", "F", "F", "F", "F", "F", "F", "F", "F"], "fractional_positions": [[0.250, 0.250, 0.056], [0.250, 0.750, 0.000], [0.750, 0.250, 0.000], [0.750, 0.750, 0.944], [0.000, 0.000, 0.500], [0.000, 0.500, 0.500], [0.500, 0.000, 0.500], [0.500, 0.500, 0.500], [0.002, 0.750, 0.549], [0.028, 0.028, 0.783], [0.028, 0.472, 0.783], [0.250, 0.502, 0.451], [0.250, 0.998, 0.451], [0.472, 0.028, 0.783], [0.472, 0.472, 0.783], [0.498, 0.750, 0.549], [0.502, 0.250, 0.451], [0.528, 0.528, 0.217], [0.528, 0.972, 0.217], [0.750, 0.002, 0.549], [0.750, 0.498, 0.549], [0.972, 0.528, 0.217], [0.972, 0.972, 0.217], [0.998, 0.250, 0.451]], "sg": "P4/nmm"}

(10)
{"formula": "Cs2MnOF5", "functional": "PBE with a Hubbard U", "state": "optimized geometry", "lattice_angstrom": [[4.576, -4.982, 0.000], [4.576, 4.982, 0.000], [0.000, 0.000, 4.172]], "species": ["Cs", "Cs", "Mn", "O", "F", "F", "F", "F", "F"], "fractional_positions": [[0.000, 0.500, 0.000], [0.500, 0.000, 0.000], [0.000, 0.000, 0.500], [0.500, 0.500, 0.807], [0.000, 0.000, 0.000], [0.188, 0.812, 0.500], [0.204, 0.204, 0.500], [0.796, 0.796, 0.500], [0.812, 0.188, 0.500]], "total_magnetization_mub_per_fu": 5.46, "sg": "Cmm2"}

(11)
{"formula": "CsMnO2F4", "functional": "PBE with a Hubbard U", "state": "optimized geometry", "lattice_angstrom": [[6.002, -3.416, 0.000], [6.002, 3.416, 0.000], [-4.893, 0.000, 7.562]], "species": ["Cs", "Cs", "Mn", "Mn", "O", "O", "O", "O", "F", "F", "F", "F", "F", "F", "F", "F"], "fractional_positions": [[0.228, 0.772, 0.750], [0.772, 0.228, 0.250], [0.000, 0.500, 0.000], [0.500, 0.000, 0.500], [0.181, 0.531, 0.235], [0.469, 0.819, 0.265], [0.531, 0.181, 0.735], [0.819, 0.469, 0.765], [0.064, 0.730, 0.004], [0.265, 0.265, 0.437], [0.265, 0.265, 0.937], [0.270, 0.936, 0.496], [0.730, 0.064, 0.504], [0.735, 0.735, 0.063], [0.735, 0.735, 0.563], [0.936, 0.270, 0.996]], "total_magnetization_mub_per_fu": 0.00, "sg": "C2/c"}

(12)
{"formula": "CsTiMnOF5", "functional": "PBE with a Hubbard U", "state": "optimized geometry", "lattice_angstrom": [[-3.698, 3.818, 5.375], [3.698, -3.818, 5.375], [3.698, 3.818, -5.375]], "species": ["Cs", "Cs", "Ti", "Ti", "Mn", "Mn", "O", "O", "F", "F", "F", "F", "F", "F", "F", "F", "F", "F"], "fractional_positions": [[0.370, 0.120, 0.250], [0.630, 0.880, 0.750], [0.000, 0.000, 0.500], [0.000, 0.500, 0.000], [0.000, 0.500, 0.500], [0.500, 0.500, 0.000], [0.024, 0.774, 0.250], [0.976, 0.226, 0.750], [0.054, 0.399, 0.208], [0.054, 0.846, 0.656], [0.310, 0.154, 0.708], [0.310, 0.601, 0.156], [0.331, 0.581, 0.750], [0.669, 0.419, 0.250], [0.690, 0.399, 0.844], [0.690, 0.846, 0.292], [0.946, 0.154, 0.344], [0.946, 0.601, 0.792]], "total_magnetization_mub_per_fu": 0.00, "sg": "Imma"}

(13)
{"formula": "CsRbMnF6", "functional": "PBE with a Hubbard U", "state": "optimized geometry", "lattice_angstrom": [[0.000, 4.463, 4.463], [4.463, 0.000, 4.463], [4.463, 4.463, 0.000]], "species": ["Cs", "Rb", "Mn", "F", "F", "F", "F", "F", "F"], "fractional_positions": [[0.000, 0.000, 0.000], [0.500, 0.500, 0.500], [0.750, 0.750, 0.750], [0.543, 0.543, 0.957], [0.543, 0.957, 0.543], [0.543, 0.957, 0.957], [0.957, 0.543, 0.543], [0.957, 0.543, 0.957], [0.957, 0.957, 0.543]], "total_magnetization_mub_per_fu": 3.00, "sg": "F-43m"}

(14)
{"formula": "CsMoF7", "functional": "PBE with a Hubbard U", "state": "optimized geometry", "lattice_angstrom": [[10.817, 0.000, 0.000], [0.000, 10.817, 0.000], [0.000, 0.000, 10.817]], "species": ["Cs", "Cs", "Cs", "Cs", "Cs", "Cs", "Cs", "Cs", "Mo", "Mo", "Mo", "Mo", "Mo", "Mo", "Mo", "Mo", "F", "F", "F", "F", "F", "F", "F", "F", "F", "F", "F", "F", "F", "F", "F", "F", "F", "F", "F", "F", "F", "F", "F", "F", "F", "F", "F", "F", "F", "F", "F", "F", "F", "F", "F", "F", "F", "F", "F", "F", "F", "F", "F", "F", "F", "F", "F", "F", "F", "F", "F", "F", "F", "F", "F", "F"], "fractional_positions": [[0.000, 0.000, 0.000], [0.000, 0.000, 0.500], [0.000, 0.500, 0.000], [0.000, 0.500, 0.500], [0.500, 0.000, 0.000], [0.500, 0.000, 0.500], [0.500, 0.500, 0.000], [0.500, 0.500, 0.500], [0.224, 0.224, 0.224], [0.224, 0.276, 0.724], [0.276, 0.724, 0.224], [0.276, 0.776, 0.724], [0.724, 0.224, 0.276], [0.724, 0.276, 0.776], [0.776, 0.724, 0.276], [0.776, 0.776, 0.776], [0.070, 0.136, 0.257], [0.070, 0.364, 0.757], [0.116, 0.144, 0.771], [0.116, 0.356, 0.271], [0.136, 0.243, 0.570], [0.136, 0.257, 0.070], [0.144, 0.729, 0.616], [0.144, 0.771, 0.116], [0.174, 0.674, 0.826], [0.174, 0.826, 0.326], [0.229, 0.616, 0.356], [0.229, 0.884, 0.856], [0.243, 0.570, 0.136], [0.243, 0.930, 0.636], [0.257, 0.070, 0.136], [0.257, 0.430, 0.636], [0.271, 0.116, 0.356], [0.271, 0.384, 0.856], [0.326, 0.174, 0.826], [0.326, 0.326, 0.326], [0.356, 0.229, 0.616], [0.356, 0.271, 0.116], [0.364, 0.743, 0.570], [0.364, 0.757, 0.070], [0.384, 0.644, 0.771], [0.384, 0.856, 0.271], [0.430, 0.636, 0.257], [0.430, 0.864, 0.757], [0.570, 0.136, 0.243], [0.570, 0.364, 0.743], [0.616, 0.144, 0.729], [0.616, 0.356, 0.229], [0.636, 0.243, 0.930], [0.636, 0.257, 0.430], [0.644, 0.729, 0.884], [0.644, 0.771, 0.384], [0.674, 0.674, 0.674], [0.674, 0.826, 0.174], [0.729, 0.616, 0.144], [0.729, 0.884, 0.644], [0.743, 0.570, 0.364], [0.743, 0.930, 0.864], [0.757, 0.070, 0.364], [0.757, 0.430, 0.864], [0.771, 0.116, 0.144], [0.771, 0.384, 0.644], [0.826, 0.174, 0.674], [0.826, 0.326, 0.174], [0.856, 0.229, 0.884], [0.856, 0.271, 0.384], [0.864, 0.743, 0.930], [0.864, 0.757, 0.430], [0.884, 0.644, 0.729], [0.884, 0.856, 0.229], [0.930, 0.636, 0.243], [0.930, 0.864, 0.743]], "sg": "Pa-3"}

(15)
{"formula": "CsRb2MoF6", "functional": "PBE with a Hubbard U", "state": "optimized geometry", "lattice_angstrom": [[0.000, 4.867, 4.867], [4.867, 0.000, 4.867], [4.867, 4.867, 0.000]], "species": ["Cs", "Rb", "Rb", "Mo", "F", "F", "F", "F", "F", "F"], "fractional_positions": [[0.000, 0.000, 0.000], [0.250, 0.250, 0.250], [0.750, 0.750, 0.750], [0.500, 0.500, 0.500], [0.287, 0.287, 0.713], [0.287, 0.713, 0.287], [0.287, 0.713, 0.713], [0.713, 0.287, 0.287], [0.713, 0.287, 0.713], [0.713, 0.713, 0.287]], "total_magnetization_mub_per_fu": 3.00, "sg": "Fm-3m"}

(16)
{"formula": "CsNbNiO2F4", "functional": "PBE with a Hubbard U", "state": "optimized geometry", "lattice_angstrom": [[5.244, -5.365, 0.000], [5.244, 5.365, 0.000], [-5.228, 0.000, 5.326]], "species": ["Cs", "Cs", "Nb", "Nb", "Ni", "Ni", "O", "O", "O", "O", "F", "F", "F", "F", "F", "F", "F", "F"], "fractional_positions": [[0.000, 0.000, 0.000], [0.745, 0.255, 0.500], [0.371, 0.142, 0.739], [0.858, 0.629, 0.261], [0.374, 0.624, 0.749], [0.376, 0.626, 0.251], [0.077, 0.923, 0.500], [0.310, 0.319, 0.633], [0.681, 0.690, 0.367], [0.686, 0.314, 0.000], [0.047, 0.547, 0.496], [0.054, 0.554, 0.114], [0.299, 0.295, 0.996], [0.303, 0.697, 0.000], [0.445, 0.555, 0.500], [0.446, 0.946, 0.886], [0.453, 0.953, 0.504], [0.705, 0.701, 0.004]], "sg": "C2"}

| no. | total energy (eV per cell) | energy with MP2020 corrections (Ry per atom) |
| --- | --- | --- |
| 1 | -48.99 | -0.3927 |
| 2 | -49.15 | -0.4052 |
| 3 | -48.85 | -0.3919 |
| 4 | -49.64 | -0.4087 |
| 5 | -101.41 | -0.4576 |
| 6 | -127.49 | -0.4335 |
| 7 | -40.38 | -0.4075 |
| 8 | -166.18 | -0.4520 |
| 9 | -127.14 | -0.4324 |
| 10 | -42.56 | -0.3857 |
| 11 | -74.63 | -0.3878 |
| 12 | -115.53 | -0.5098 |
| 13 | -44.19 | -0.3972 |
| 14 | -347.33 | -0.4071 |
| 15 | -48.10 | -0.3974 |
| 16 | -108.99 | -0.4921 |